Here is crystalline LiBSbO3 at its relaxed geometry from Materials Project. Energies are from PBE.

Geometry as POSCAR:
```
LiBSbO3
1.0
5.144 0.000 0.000
-2.556 5.128 0.000
-0.843 -0.880 6.230
Li B Sb O
2 2 2 6
direct
0.125 0.402 0.154
0.875 0.598 0.846
0.164 0.189 0.767
0.836 0.811 0.233
0.470 0.007 0.262
0.530 0.993 0.738
0.008 0.691 0.187
0.052 0.919 0.727
0.468 0.329 0.773
0.532 0.671 0.227
0.948 0.081 0.273
0.992 0.309 0.813
```

Summary:
Formation enthalpy at 0 K in eV/atom: -2.2196
Symmetry: No. 2
Mass density in g cm⁻³: 3.79